[1]
Here is a relaxed PdBr2 crystal from Materials Project. Energies are from PBE.

Cell: 7.394 7.394 6.645 Å, 102.01 102.01 37.85°
Positions (direct):
Pd: 0.000 0.000 0.000
Pd: 0.000 0.000 0.500
Br: 0.027 0.728 0.693
Br: 0.272 0.973 0.807
Br: 0.728 0.027 0.193
Br: 0.973 0.272 0.307

Computed properties:
As for the volume: 36.2 Å³/atom. As for the formation energy: -0.6948 eV per atom. The total energy is -18.94 eV per cell.



[2]
Here is a relaxed Te2PdBr6 crystal from Materials Project. Energies are from PBE.

Cell: 17.112 9.326 19.809 Å, 90.00 116.36 90.00°
Positions (direct):
Te: 0.018 0.153 0.141
Te: 0.018 0.347 0.641
Te: 0.161 0.710 0.550
Te: 0.161 0.790 0.050
Te: 0.369 0.137 0.356
Te: 0.369 0.363 0.856
Te: 0.392 0.221 0.546
Te: 0.392 0.279 0.046
Te: 0.608 0.721 0.954
Te: 0.608 0.779 0.454
Te: 0.631 0.637 0.144
Te: 0.631 0.863 0.644
Te: 0.839 0.210 0.950
Te: 0.839 0.290 0.450
Te: 0.982 0.653 0.359
Te: 0.982 0.847 0.859
Pd: 0.003 0.164 0.006
Pd: 0.003 0.336 0.506
Pd: 0.494 0.163 0.488
Pd: 0.494 0.337 0.988
Pd: 0.506 0.663 0.012
Pd: 0.506 0.837 0.512
Pd: 0.997 0.664 0.494
Pd: 0.997 0.836 0.994
Br: 0.019 0.163 0.886
Br: 0.019 0.337 0.386
Br: 0.057 0.082 0.678
Br: 0.057 0.418 0.178
Br: 0.139 0.679 0.374
Br: 0.139 0.821 0.874
Br: 0.155 0.521 0.024
Br: 0.155 0.979 0.524
Br: 0.166 0.121 0.094
Br: 0.166 0.379 0.594
Br: 0.224 0.742 0.691
Br: 0.224 0.758 0.191
Br: 0.229 0.165 0.374
Br: 0.229 0.335 0.874
Br: 0.364 0.104 0.810
Br: 0.364 0.396 0.310
Br: 0.364 0.675 0.895
Br: 0.364 0.825 0.395
Br: 0.365 0.015 0.009
Br: 0.365 0.485 0.509
Br: 0.437 0.606 0.101
Br: 0.437 0.894 0.601
Br: 0.481 0.224 0.185
Br: 0.481 0.276 0.685
Br: 0.519 0.724 0.315
Br: 0.519 0.776 0.815
Br: 0.563 0.106 0.399
Br: 0.563 0.394 0.899
Br: 0.635 0.515 0.491
Br: 0.635 0.985 0.991
Br: 0.636 0.175 0.605
Br: 0.636 0.325 0.105
Br: 0.636 0.604 0.690
Br: 0.636 0.896 0.190
Br: 0.771 0.665 0.126
Br: 0.771 0.835 0.626
Br: 0.776 0.242 0.809
Br: 0.776 0.258 0.309
Br: 0.834 0.621 0.406
Br: 0.834 0.879 0.906
Br: 0.845 0.021 0.476
Br: 0.845 0.479 0.976
Br: 0.861 0.179 0.126
Br: 0.861 0.321 0.626
Br: 0.943 0.582 0.822
Br: 0.943 0.918 0.322
Br: 0.981 0.663 0.614
Br: 0.981 0.837 0.114

Computed properties:
The magnetization is 0.00 μB/atom. As for the volume: 39.3 Å³/atom. As for the formation energy: -0.7352 eV per atom. The total energy is -197.61 eV per cell.



[3]
Here is a relaxed Tl3PdBr5 crystal from Materials Project. Energies are from PBE.

Cell: 8.146 17.336 17.458 Å, 90.00 90.00 90.00°
Positions (direct):
Tl: 0.081 0.200 0.147
Tl: 0.081 0.300 0.647
Tl: 0.105 0.094 0.413
Tl: 0.105 0.406 0.913
Tl: 0.117 0.565 0.696
Tl: 0.117 0.935 0.196
Tl: 0.383 0.065 0.696
Tl: 0.383 0.435 0.196
Tl: 0.395 0.594 0.413
Tl: 0.395 0.906 0.913
Tl: 0.419 0.700 0.147
Tl: 0.419 0.800 0.647
Tl: 0.581 0.200 0.353
Tl: 0.581 0.300 0.853
Tl: 0.605 0.094 0.087
Tl: 0.605 0.406 0.587
Tl: 0.617 0.565 0.804
Tl: 0.617 0.935 0.304
Tl: 0.883 0.065 0.804
Tl: 0.883 0.435 0.304
Tl: 0.895 0.594 0.087
Tl: 0.895 0.906 0.587
Tl: 0.919 0.700 0.353
Tl: 0.919 0.800 0.853
Pd: 0.191 0.143 0.928
Pd: 0.191 0.357 0.428
Pd: 0.309 0.643 0.928
Pd: 0.309 0.857 0.428
Pd: 0.691 0.143 0.572
Pd: 0.691 0.357 0.072
Pd: 0.809 0.643 0.572
Pd: 0.809 0.857 0.072
Br: 0.039 0.595 0.883
Br: 0.039 0.905 0.383
Br: 0.072 0.698 0.526
Br: 0.072 0.802 0.026
Br: 0.131 0.568 0.263
Br: 0.131 0.932 0.763
Br: 0.184 0.231 0.816
Br: 0.184 0.269 0.316
Br: 0.208 0.055 0.038
Br: 0.208 0.445 0.538
Br: 0.292 0.555 0.038
Br: 0.292 0.945 0.538
Br: 0.316 0.731 0.816
Br: 0.316 0.769 0.316
Br: 0.369 0.068 0.263
Br: 0.369 0.432 0.763
Br: 0.428 0.198 0.526
Br: 0.428 0.302 0.026
Br: 0.461 0.095 0.883
Br: 0.461 0.405 0.383
Br: 0.539 0.595 0.617
Br: 0.539 0.905 0.117
Br: 0.572 0.698 0.974
Br: 0.572 0.802 0.474
Br: 0.631 0.568 0.237
Br: 0.631 0.932 0.737
Br: 0.684 0.231 0.684
Br: 0.684 0.269 0.184
Br: 0.708 0.055 0.462
Br: 0.708 0.445 0.962
Br: 0.792 0.555 0.462
Br: 0.792 0.945 0.962
Br: 0.816 0.731 0.684
Br: 0.816 0.769 0.184
Br: 0.869 0.068 0.237
Br: 0.869 0.432 0.737
Br: 0.928 0.198 0.974
Br: 0.928 0.302 0.474
Br: 0.961 0.095 0.617
Br: 0.961 0.405 0.117

Computed properties:
The magnetization is 0.00 μB/atom. As for the volume: 34.2 Å³/atom. As for the formation energy: -0.9976 eV per atom. The total energy is -214.09 eV per cell.



[4]
Here is a relaxed PmBr3 crystal from Materials Project. Energies are from PBE.

Cell: 10.538 10.538 3.872 Å, 90.00 90.00 120.00°
Positions (direct):
Pm: 0.333 0.667 0.250
Pm: 0.667 0.333 0.750
Br: 0.215 0.430 0.750
Br: 0.215 0.785 0.750
Br: 0.430 0.215 0.250
Br: 0.570 0.785 0.750
Br: 0.785 0.215 0.250
Br: 0.785 0.570 0.250

Computed properties:
As for the volume: 46.5 Å³/atom. As for the formation energy: -2.2623 eV per atom. The total energy is -34.22 eV per cell.



- What is the formation energy in the third record?
  -0.9976 eV per atom



- What is the formula in the second record?
  Te2PdBr6



Please write out number 4 again, unchanged.
Here is a relaxed PmBr3 crystal from Materials Project. Energies are from PBE.

Cell: 10.538 10.538 3.872 Å, 90.00 90.00 120.00°
Positions (direct):
Pm: 0.333 0.667 0.250
Pm: 0.667 0.333 0.750
Br: 0.215 0.430 0.750
Br: 0.215 0.785 0.750
Br: 0.430 0.215 0.250
Br: 0.570 0.785 0.750
Br: 0.785 0.215 0.250
Br: 0.785 0.570 0.250

Computed properties:
As for the volume: 46.5 Å³/atom. As for the formation energy: -2.2623 eV per atom. The total energy is -34.22 eV per cell.



What did the fourth record say?
Here is a relaxed PmBr3 crystal from Materials Project. Energies are from PBE.

Cell: 10.538 10.538 3.872 Å, 90.00 90.00 120.00°
Positions (direct):
Pm: 0.333 0.667 0.250
Pm: 0.667 0.333 0.750
Br: 0.215 0.430 0.750
Br: 0.215 0.785 0.750
Br: 0.430 0.215 0.250
Br: 0.570 0.785 0.750
Br: 0.785 0.215 0.250
Br: 0.785 0.570 0.250

Computed properties:
As for the volume: 46.5 Å³/atom. As for the formation energy: -2.2623 eV per atom. The total energy is -34.22 eV per cell.